No. 1
A geometry-optimized TiAsPd structure. Source: the Materials Project database, functional PBE.

Lattice parameters (Å, degrees): 6.594 6.594 3.825 90.00 90.00 120.00
Atoms (fractional coordinates):
Ti: 0.594 0.000 0.000
Ti: 0.000 0.594 0.000
Ti: 0.406 0.406 0.000
As: 0.333 0.667 0.500
As: 0.667 0.333 0.500
As: 0.000 0.000 0.000
Pd: 0.262 0.000 0.500
Pd: 0.000 0.262 0.500
Pd: 0.738 0.738 0.500

Results
* uncorrected energy: -59.7 eV per cell
* formation energy: -0.717 eV/atom
* spin magnetization: 0.49 μB per formula unit

No. 2
A geometry-optimized TlAsPd5 structure. Source: the Materials Project database, functional PBE.

Lattice parameters (Å, degrees): 4.081 4.081 7.167 90.00 90.00 90.00
Atoms (fractional coordinates):
Tl: 0.500 0.500 0.000
As: 0.000 0.000 0.500
Pd: 0.000 0.000 0.000
Pd: 0.000 0.500 0.293
Pd: 0.500 0.000 0.293
Pd: 0.000 0.500 0.707
Pd: 0.500 0.000 0.707

Results
* uncorrected energy: -35.4 eV per cell
* formation energy: -0.355 eV/atom

No. 3
A geometry-optimized TmAsPd structure. Source: the Materials Project database, functional PBE.

Lattice parameters (Å, degrees): 4.103 6.969 7.917 90.00 90.00 90.00
Atoms (fractional coordinates):
Tm: 0.250 0.531 0.309
Tm: 0.250 0.031 0.191
Tm: 0.750 0.469 0.691
Tm: 0.750 0.969 0.809
As: 0.250 0.247 0.879
As: 0.250 0.747 0.621
As: 0.750 0.753 0.121
As: 0.750 0.253 0.379
Pd: 0.250 0.644 0.937
Pd: 0.250 0.144 0.563
Pd: 0.750 0.356 0.063
Pd: 0.750 0.856 0.437

Results
* uncorrected energy: -71.4 eV per cell
* formation energy: -1.181 eV/atom

No. 4
A geometry-optimized UAs2Pd structure. Source: the Materials Project database, functional PBE.

Lattice parameters (Å, degrees): 3.999 3.999 9.547 90.00 90.00 90.00
Atoms (fractional coordinates):
U: 0.500 0.000 0.764
U: 0.000 0.500 0.236
As: 0.500 0.500 0.000
As: 0.000 0.000 0.000
As: 0.500 0.000 0.311
As: 0.000 0.500 0.689
Pd: 0.500 0.500 0.500
Pd: 0.000 0.000 0.500

Results
* uncorrected energy: -56.8 eV per cell
* formation energy: -0.656 eV/atom